Record 1
A relaxed CaTiCuO4 crystal, computed with GGA-PBE.

Cell and atoms, written as extended XYZ:
```
14
Lattice="-0.2746 -3.1507 -2.3376 -2.1498 -1.8393 2.7316 -9.0050 4.0299 -4.3737" Properties=species:S:1:pos:R:3 pbc="T T T"
Cu -6.1835 -0.1522 -0.7225
Ti -8.5279 -0.7399 -2.9632
O -3.1052 -1.7659 -2.2174
Cu -5.2459 -0.8079 -3.2571
O -8.3243 0.8058 -1.7622
O -1.3726 -0.9045 -0.2738
O -4.0428 -1.1102 0.3172
O -4.8395 0.6470 -1.9576
O -7.3867 0.1501 -4.2968
Ca -2.9583 -3.2323 -0.2582
Ti -2.9016 -0.2202 -1.0164
O -10.0569 -0.0556 -3.7059
O -6.5900 -1.6071 -2.0220
Ca -8.4711 2.2722 -3.7215
```

## Properties
The total energy comes out at -7.1215 eV per atom. As for the total magnetization: 0.667 μB/cell. The calculation puts the formation energy at -2687 meV per atom. As for the MP2020-corrected energy: -105.20 eV per cell. The volume is 166.9 Å³ per cell.

=====

Record 2
A relaxed NbWSe4 crystal, computed with GGA-PBE.

Cell and atoms, written as extended XYZ:
```
6
Lattice="2.3383 2.4615 -0.0936 -3.2579 0.7280 -0.6255 -1.9827 2.3817 13.0989" Properties=species:S:1:pos:R:3 pbc="T T T"
Nb -2.3838 2.4967 6.1013
Se -1.2444 1.4949 8.2214
Se -1.6361 1.5984 1.1610
Se -0.7383 0.8869 4.8775
Se -3.1316 3.3949 11.0415
W 0.0000 0.0000 0.0000
```

## Properties
The total energy comes out at -6.8569 eV per atom. As for the total magnetization: 0.042 μB/cell. The calculation puts the formation energy at -998 meV per atom. As for the MP2020-corrected energy: -43.03 eV per cell. The volume is 134.5 Å³ per cell.

=====

Record 3
A relaxed Zn2SbN3 crystal, computed with GGA-PBE.

Cell and atoms, written as extended XYZ:
```
12
Lattice="-5.2567 2.5262 -0.0339 0.5535 -5.6186 -1.4631 -0.7219 -1.4322 5.2267" Properties=species:S:1:pos:R:3 pbc="T T T"
Sb -4.1991 -3.2029 1.1821
N -2.4331 -3.9068 0.5853
Zn -4.8187 -2.0404 4.3410
N -3.1340 -0.8994 4.1720
N -0.9893 -0.9759 1.5392
N -1.2174 -3.5862 3.7005
Zn -0.9288 -3.1236 1.7220
Sb -1.5316 -1.9278 4.7594
Zn -2.8182 -4.8446 3.8489
Zn -2.9293 -0.3193 2.2141
N -4.5655 -3.8059 3.1292
N -4.3497 -1.2200 1.0568
```

## Properties
The total energy comes out at -5.1257 eV per atom. The calculation puts the formation energy at -30 meV per atom. As for the MP2020-corrected energy: -63.67 eV per cell. The volume is 160.9 Å³ per cell. The calculation puts the maximum piezoelectric response at 0.74 C/m².

=====

Record 4
A relaxed AgPb3 crystal, computed with GGA-PBE.

Cell and atoms, written as extended XYZ:
```
8
Lattice="3.4528 -5.9805 0.0000 3.4528 5.9805 0.0000 0.0000 0.0000 5.5642" Properties=species:S:1:pos:R:3 pbc="T T T"
Ag 3.4528 -1.9935 1.3910
Pb 5.1332 1.0233 1.3910
Pb 3.4528 -3.9338 4.1731
Ag 3.4528 1.9935 4.1731
Pb 3.4528 3.9338 1.3910
Pb 5.1332 -1.0233 4.1731
Pb 1.7725 -1.0233 4.1731
Pb 1.7725 1.0233 1.3910
```

## Properties
The total energy comes out at -3.3997 eV per atom. As for the total magnetization: 0.001 μB/cell. The calculation puts the formation energy at 93 meV per atom. The volume is 229.8 Å³ per cell.

=====

Record 5
A relaxed K2Ca2C2O3F2 crystal, computed with GGA-PBE.

Cell and atoms, written as extended XYZ:
```
22
Lattice="-6.2455 -2.5833 0.3538 2.1111 -4.4967 -4.5965 2.4105 -5.0054 6.0038" Properties=species:S:1:pos:R:3 pbc="T T T"
K -2.9668 -7.5447 0.3765
F -0.0508 -5.7361 4.5380
F 0.7758 -3.6986 0.3325
Ca -1.0740 -7.4438 3.4253
O -0.3677 -6.5877 1.3084
K 2.4062 -6.9563 4.2821
C 1.5184 -5.1889 -2.8638
F -2.0924 -9.2323 2.4429
K -0.8831 -3.9764 2.5147
O -4.6960 -5.6002 3.8783
Ca 2.9570 -8.3581 1.0230
K 0.3226 -10.5245 2.1438
Ca -0.2858 -5.3975 -0.7575
Ca -4.3261 -4.4638 1.6215
O -2.8357 -6.0260 2.7761
C 0.7996 -7.1963 1.1866
O 2.2382 -4.9611 -3.9453
O 0.3777 -4.5350 -2.8434
C -3.5513 -6.2548 3.8552
O -2.0940 -3.9657 -1.3848
F -1.2658 -7.1949 -1.7626
C -2.8917 -4.1244 -0.3426
```

## Properties
The total energy comes out at -5.7315 eV per atom. As for the total magnetization: 4.000 μB/cell. The calculation puts the formation energy at -2061 meV per atom. As for the MP2020-corrected energy: -132.06 eV per cell. The volume is 373.8 Å³ per cell.

=====

Record 6
A relaxed IrC crystal, computed with GGA-PBE.

Cell and atoms, written as extended XYZ:
```
2
Lattice="1.5083 -2.1404 1.6892 -0.8685 -0.5602 2.9397 -1.4042 -2.6856 0.7248" Properties=species:S:1:pos:R:3 pbc="T T T"
C -0.3822 -2.6932 2.6768
Ir 0.0000 0.0000 0.0000
```

## Properties
The total energy comes out at -7.6090 eV per atom. As for the total magnetization: 0.513 μB/cell. The calculation puts the formation energy at 1425 meV per atom. The value obtained for the energy relative to the lowest polymorph listed for this composition is 893 meV/atom. The volume is 21.4 Å³ per cell.

=====

What did the first record say?
A relaxed CaTiCuO4 crystal, computed with GGA-PBE.

Cell and atoms, written as extended XYZ:
```
14
Lattice="-0.2746 -3.1507 -2.3376 -2.1498 -1.8393 2.7316 -9.0050 4.0299 -4.3737" Properties=species:S:1:pos:R:3 pbc="T T T"
Cu -6.1835 -0.1522 -0.7225
Ti -8.5279 -0.7399 -2.9632
O -3.1052 -1.7659 -2.2174
Cu -5.2459 -0.8079 -3.2571
O -8.3243 0.8058 -1.7622
O -1.3726 -0.9045 -0.2738
O -4.0428 -1.1102 0.3172
O -4.8395 0.6470 -1.9576
O -7.3867 0.1501 -4.2968
Ca -2.9583 -3.2323 -0.2582
Ti -2.9016 -0.2202 -1.0164
O -10.0569 -0.0556 -3.7059
O -6.5900 -1.6071 -2.0220
Ca -8.4711 2.2722 -3.7215
```

## Properties
The total energy comes out at -7.1215 eV per atom. As for the total magnetization: 0.667 μB/cell. The calculation puts the formation energy at -2687 meV per atom. As for the MP2020-corrected energy: -105.20 eV per cell. The volume is 166.9 Å³ per cell.

=====

Which formula does entry 6 have? IrC